# 1
Mg5Mn3 | PBE-GGA | optimized geometry

Cell lengths 4.6772, 6.0280, 10.6316 Å; angles 89.81, 89.93, 89.97 degrees
Closest atoms and distances in Å follow each position.
Space group P1 (No. 1)
Symmetry-distinct sites (fractional):
Mg  0.0000  0.0000  0.0000 [1 per cell]  3 Mn 2.91-3.04, 8 Mg 2.97-3.10
Mg  0.0013  0.4948  0.0152 [1 per cell]  6 Mn 2.84-3.18, 6 Mg 2.91-3.07
Mg  0.4885  0.7467  0.4245 [1 per cell]  5 Mn 2.85-3.12, 6 Mg 2.92-3.09
Mg  0.4907  0.2420  0.4313 [1 per cell]  4 Mn 2.94-3.10, 8 Mg 2.95-3.23
Mg  0.4939  0.9930  0.6790 [1 per cell]  7 Mn 2.86-3.06, 5 Mg 2.96-3.09
Mg  0.4962  0.9619  0.1727 [1 per cell]  5 Mn 2.92-3.17, 7 Mg 2.97-3.23
Mg  0.5014  0.7221  0.9149 [1 per cell]  5 Mn 2.81-3.10, 6 Mg 2.91-3.10
Mg  0.9885  0.5117  0.5208 [1 per cell]  5 Mn 2.83-2.95, 5 Mg 2.92-3.01
Mg  0.9945  0.2289  0.2611 [1 per cell]  5 Mn 2.89-3.06, 6 Mg 2.95-3.10
Mg  0.9935  0.2579  0.7597 [1 per cell]  7 Mn 2.86-3.11, 5 Mg 2.96-3.07
Mn  0.4923  0.4974  0.6827 [1 per cell]  9 Mg 2.82-3.12, 3 Mn 2.87-2.95
Mn  0.4979  0.4644  0.1682 [1 per cell]  8 Mg 2.84-3.10, 3 Mn 2.88-3.03
Mn  0.4991  0.2561  0.9245 [1 per cell]  8 Mg 2.81-3.06, 2 Mn 2.88-2.95
Mn  0.9904  0.9816  0.5127 [1 per cell]  9 Mg 2.83-3.11, 2 Mn 2.91-3.02
Mn  0.9920  0.7224  0.2698 [1 per cell]  8 Mg 2.85-3.05, 3 Mn 2.99-3.03
Mn  0.9960  0.7485  0.7522 [1 per cell]  9 Mg 2.85-3.18, 3 Mn 2.87-2.91

E above lowest polymorph (meV per atom): 6
Formation energy from the elements (meV/atom): 269



# 2
ZrBrN | PBE-GGA | optimized geometry

Cell lengths 3.6390, 4.1717, 9.0039 Å; angles 90.00, 90.00, 90.00 degrees
Closest atoms and distances in Å follow each position.
Space group Pmmn (No. 59, origin choice 2)
Symmetry-distinct sites (fractional):
Zr  0.2500  0.2500  0.0984 [2 per cell]  4 N 2.17
Br  0.2500  0.7500  0.6675 [2 per cell]  2 Zr 2.78
N  0.2500  0.7500  0.0320 [2 per cell]  4 Zr 2.17

Formation energy from the elements (meV/atom): -1711



# 3
Nd4Fe28BC | PBE-GGA | optimized geometry

Cell lengths 12.4348, 12.4501, 12.0844 Å; angles 90.00, 90.00, 90.00 degrees
Closest atoms and distances in Å follow each position.
Space group Cmmm (No. 65)
Symmetry-distinct sites (fractional):
Nd  0.0000  0.1419  0.0000 [4 per cell]  1 B 2.90, 6 Fe 3.07-3.12
Nd  0.0000  0.2357  0.5000 [4 per cell]  16 Fe 3.04-3.22, 2 C 3.32
Nd  0.1430  0.5000  0.5000 [4 per cell]  1 C 2.88, 6 Fe 3.04-3.11
Nd  0.2325  0.5000  0.0000 [4 per cell]  16 Fe 3.04-3.27, 2 B 3.28
Fe  0.0000  0.0000  0.3927 [4 per cell]  2 C 2.03
Fe  0.0000  0.1821  0.2547 [8 per cell]  12 Fe 2.64-2.81
Fe  0.0000  0.4021  0.2957 [8 per cell]  8 Fe 2.40-2.65
Fe  0.0000  0.5000  0.1143 [4 per cell]  2 B 2.08
Fe  0.0979  0.0000  0.2073 [8 per cell]  8 Fe 2.39-2.64
Fe  0.1043  0.3286  0.1272 [16 per cell]  1 B 2.09
Fe  0.1622  0.3012  0.3242 [16 per cell]  10 Fe 2.40-2.66
Fe  0.1705  0.1034  0.3779 [16 per cell]  1 C 2.04
Fe  0.1828  0.5000  0.2462 [8 per cell]  12 Fe 2.63-2.78
Fe  0.1982  0.1612  0.1770 [16 per cell]  10 Fe 2.39-2.65
Fe  0.2500  0.2500  0.0000 [4 per cell]  8 Fe 2.49-2.57
Fe  0.2500  0.2500  0.5000 [4 per cell]  8 Fe 2.47-2.55
B  0.0000  0.3752  0.0000 [4 per cell]  6 Fe 2.08-2.09
C  0.1251  0.0000  0.5000 [4 per cell]  6 Fe 2.03-2.04

Formation energy from the elements (meV/atom): -34



# 4
ZnH6 | PBE-GGA | optimized geometry

Cell lengths 11.8531, 5.7590, 8.1970 Å; angles 90.00, 90.00, 90.00 degrees
Closest atoms and distances in Å follow each position.
Space group Pca2_1 (No. 29)
Symmetry-distinct sites (fractional):
Zn  0.1499  0.1380  0.0000 [4 per cell]  2 H 1.54
H  0.0141  0.8296  0.3020 [4 per cell]  1 H 0.76
H  0.0485  0.7439  0.3516 [4 per cell]  1 H 0.76
H  0.0853  0.1736  0.1604 [4 per cell]  1 Zn 1.54
H  0.1253  0.5635  0.0042 [4 per cell]  1 H 0.76
H  0.1620  0.5940  0.9317 [4 per cell]  1 H 0.76
H  0.2151  0.0976  0.8402 [4 per cell]  1 Zn 1.54

E above lowest polymorph (meV per atom): 0
Formation energy from the elements (meV/atom): 29



# 5
Zr2ReRh | PBE-GGA | optimized geometry

Cell lengths 6.6202, 6.6202, 6.6202 Å; angles 90.00, 90.00, 90.00 degrees
Closest atoms and distances in Å follow each position.
Space group Fm-3m (No. 225)
Symmetry-distinct sites (fractional):
Zr  0.2500  0.2500  0.2500 [8 per cell]  4 Re 2.87, 4 Rh 2.87
Re  0.0000  0.0000  0.0000 [4 per cell]  8 Zr 2.87
Rh  0.0000  0.0000  0.5000 [4 per cell]  8 Zr 2.87

Formation energy from the elements (meV/atom): -551



# 6
AgCN | PBE-GGA | optimized geometry

Cell lengths 6.8783, 6.8783, 5.2555 Å; angles 90.00, 90.00, 120.00 degrees
Closest atoms and distances in Å follow each position.
Space group R3m (No. 160, hexagonal axes)
Symmetry-distinct sites (fractional):
Ag  0.0000  0.0000  0.0000 [3 per cell]  1 C 2.02, 1 N 2.06
C  0.0000  0.0000  0.6150 [3 per cell]  1 N 1.17
N  0.0000  0.0000  0.3924 [3 per cell]  1 C 1.17

Formation energy from the elements (meV/atom): 344



# 7
U2Al9Rh3 | PBE-GGA | optimized geometry

Cell lengths 13.1372, 7.6676, 9.4062 Å; angles 90.00, 90.00, 90.00 degrees
Closest atoms and distances in Å follow each position.
Space group Cmcm (No. 63)
Symmetry-distinct sites (fractional):
U  0.1630  0.1679  0.2500 [8 per cell]  11 Al 3.05-3.18
Al  0.0000  0.1270  0.7500 [4 per cell]  2 Rh 2.55, 6 Al 2.76-2.78
Al  0.0000  0.3345  0.0558 [8 per cell]  3 Rh 2.62-2.65, 5 Al 2.75-2.85
Al  0.1039  0.4433  0.7500 [8 per cell]  2 Rh 2.56, 6 Al 2.73-2.85
Al  0.1663  0.1684  0.5744 [16 per cell]  3 Rh 2.58-2.64, 3 Al 2.76-2.81
Rh  0.0000  0.0000  0.0000 [4 per cell]  8 Al 2.55-2.63
Rh  0.1726  0.5000  0.0000 [8 per cell]  8 Al 2.56-2.65

Formation energy from the elements (meV/atom): -584



# 8
Ti3P4O14 | PBE-GGA | optimized geometry

Cell lengths 7.3905, 7.9055, 9.6279 Å; angles 90.00, 110.61, 90.00 degrees
Closest atoms and distances in Å follow each position.
Space group P2_1/c (No. 14)
Symmetry-distinct sites (fractional):
Ti  0.0000  0.0000  0.0000 [2 per cell]  6 O 2.03-2.16
Ti  0.1858  0.1332  0.5279 [4 per cell]  5 O 2.01-2.18
P  0.1194  0.7089  0.8054 [4 per cell]  4 O 1.51-1.59
P  0.4003  0.0490  0.2949 [4 per cell]  4 O 1.51-1.64
O  0.0031  0.7115  0.6366 [4 per cell]  1 P 1.55
O  0.0364  0.5781  0.8882 [4 per cell]  1 P 1.56
O  0.1374  0.6208  0.3801 [4 per cell]  1 P 1.51
O  0.2713  0.1117  0.1371 [4 per cell]  1 P 1.56
O  0.3249  0.6422  0.8127 [4 per cell]  2 P 1.59-1.64
O  0.3627  0.1588  0.4117 [4 per cell]  1 P 1.52
O  0.3886  0.5191  0.1820 [4 per cell]  1 P 1.51

Formation energy from the elements (meV/atom): -2812



# 9
KLu3F10 | PBE-GGA | optimized geometry

Cell lengths 8.0447, 8.0447, 13.1480 Å; angles 90.00, 90.00, 120.00 degrees
Closest atoms and distances in Å follow each position.
Space group P6_3mc (No. 186)
Symmetry-distinct sites (fractional):
K  0.0000  0.0000  0.0000 [2 per cell]  3 F 2.67
K  0.3333  0.6667  0.2376 [2 per cell]  4 F 2.73-2.75
Lu  0.0112  0.5056  0.4903 [6 per cell]  8 F 2.15-2.33
Lu  0.1742  0.3483  0.7320 [6 per cell]  8 F 2.15-2.33
F  0.0033  0.3386  0.8605 [12 per cell]  2 Lu 2.15
F  0.0383  0.5191  0.6667 [6 per cell]  3 Lu 2.31-2.33, 3 F 2.53-2.55
F  0.1098  0.2196  0.1976 [6 per cell]  2 Lu 2.17
F  0.1843  0.3685  0.5551 [6 per cell]  3 Lu 2.33, 3 F 2.53
F  0.2225  0.4450  0.0267 [6 per cell]  2 Lu 2.16
F  0.3333  0.6667  0.4450 [2 per cell]  3 Lu 2.32, 3 F 2.53
F  0.3333  0.6667  0.7820 [2 per cell]  3 Lu 2.31, 3 F 2.55

Formation energy from the elements (meV/atom): -4312



# 10
NaLiGa2Si4O12 | PBE-GGA | optimized geometry

Cell lengths 9.7029, 8.7397, 5.3419 Å; angles 90.00, 109.24, 90.00 degrees
Closest atoms and distances in Å follow each position.
Space group C2 (No. 5)
Symmetry-distinct sites (fractional):
Na  0.0000  0.0000  0.0000 [2 per cell]  6 O 2.36-2.39
Li  0.0000  0.5713  0.5000 [2 per cell]  4 O 2.19-2.25
Ga  0.0000  0.1960  0.5000 [2 per cell]  6 O 1.93-2.12
Ga  0.0000  0.3952  0.0000 [2 per cell]  6 O 1.93-2.11
Si  0.2059  0.7034  0.0024 [4 per cell]  4 O 1.61-1.65
Si  0.2072  0.8847  0.5048 [4 per cell]  4 O 1.61-1.66
O  0.1122  0.3789  0.3899 [4 per cell]  1 Si 1.66
O  0.1141  0.2162  0.8885 [4 per cell]  1 Si 1.65
O  0.1350  0.5357  0.9269 [4 per cell]  1 Si 1.61
O  0.1401  0.0544  0.4455 [4 per cell]  1 Si 1.61
O  0.1449  0.7963  0.7173 [4 per cell]  2 Si 1.64-1.65
O  0.1462  0.7893  0.2214 [4 per cell]  2 Si 1.65-1.66

Formation energy from the elements (meV/atom): -2869



# 11
BaTbO3 | PBE-GGA | optimized geometry

Cell lengths 6.2337, 8.8733, 6.3086 Å; angles 90.00, 90.00, 90.00 degrees
Closest atoms and distances in Å follow each position.
Space group Imma (No. 74)
Symmetry-distinct sites (fractional):
Ba  0.0000  0.2500  0.0109 [4 per cell]  5 O 2.70-2.81
Tb  0.0000  0.0000  0.5000 [4 per cell]  6 O 2.26-2.28
O  0.0000  0.2500  0.5828 [4 per cell]  2 Tb 2.28
O  0.2500  0.0479  0.2500 [8 per cell]  2 Tb 2.26

Formation energy from the elements (meV/atom): -3124



# 12
Zn3Ru | PBE-GGA | optimized geometry

Cell lengths 3.7941, 3.7941, 15.5936 Å; angles 90.00, 90.00, 90.00 degrees
Closest atoms and distances in Å follow each position.
Space group I4/mmm (No. 139)
Symmetry-distinct sites (fractional):
Zn  0.0000  0.0000  0.1290 [4 per cell]  8 Zn 2.68-2.76, 4 Ru 2.69
Zn  0.0000  0.5000  0.0000 [4 per cell]  4 Ru 2.63, 8 Zn 2.68-2.76
Zn  0.0000  0.5000  0.2500 [4 per cell]  8 Zn 2.68, 4 Ru 2.81
Ru  0.0000  0.0000  0.3829 [4 per cell]  12 Zn 2.63-2.81

Formation energy from the elements (meV/atom): -152